This record from Materials Project describes a geometry-optimized Ba2CuN2 structure. The functional is r2SCAN.

Properties
- Symmetry: I4/mmm (139)
- Energy of formation from the pure elements: -0.427 eV per atom
- M_tot: 1.0 μB per formula unit
- E_tot: -16.848 eV per atom
- Crystal system: tetragonal

abc: 7.120 7.120 7.120
angles: 146.51 146.51 48.09
Atoms (fractional coordinates):
Ba1 0.150 0.150 0.000
Ba2 0.850 0.850 0.000
Cu1 0.500 0.500 0.000
N1 0.362 0.362 0.000
N2 0.638 0.638 0.000